NaMg14BO16 | PBE | optimized geometry

Unit cell a=8.7037 b=8.2716 c=4.3107 alpha=90.00 beta=90.00 gamma=90.00
Positions (direct):
Mg  0.7541  0.0000  0.5000
O  0.7549  0.2502  0.5000
O  0.2451  0.7498  0.5000
Mg  0.2469  0.5000  0.5000
O  0.2581  0.0000  0.0000
Mg  0.2584  0.7462  0.0000
Mg  0.5000  0.7504  0.5000
Mg  0.5000  0.2496  0.5000
Mg  0.0000  0.7419  0.5000
O  0.5000  0.0000  0.5000
O  0.7419  0.0000  0.0000
O  0.0000  0.5000  0.5000
Mg  0.0000  0.2581  0.5000
Mg  0.7416  0.7462  0.0000
Mg  0.5000  0.0000  0.0000
O  0.2619  0.5000  0.0000
O  0.2451  0.2502  0.5000
Mg  0.7416  0.2538  0.0000
O  0.0000  0.6699  0.0000
Na  0.0000  0.0000  0.0000
B  0.0000  0.5000  0.0000
Mg  0.5000  0.5000  0.0000
Mg  0.7531  0.5000  0.5000
O  0.7549  0.7498  0.5000
O  0.0000  0.0000  0.5000
Mg  0.2584  0.2538  0.0000
O  0.0000  0.3301  0.0000
Mg  0.2459  0.0000  0.5000
O  0.7381  0.5000  0.0000
O  0.5000  0.7500  0.0000
O  0.5000  0.2500  0.0000
O  0.5000  0.5000  0.5000

Volume   9.70 A^3/atom
Distance to the lowest polymorph of the same formula   0 meV/atom
SG   Pmmm

***

NaMg6BO7 | PBE | optimized geometry

Unit cell a=8.0383 b=4.4067 c=4.4067 alpha=90.00 beta=90.00 gamma=90.00
Positions (direct):
Mg  0.2606  0.0000  0.5000
Mg  0.2606  0.5000  0.0000
O  0.0057  0.0000  0.5000
Mg  0.0048  0.5000  0.5000
O  0.6862  0.0000  0.0000
Mg  0.7494  0.5000  0.0000
O  0.7538  0.5000  0.5000
Mg  0.5043  0.5000  0.5000
Na  0.9992  0.0000  0.0000
O  0.0057  0.5000  0.0000
O  0.2552  0.5000  0.5000
Mg  0.7494  0.0000  0.5000
O  0.5034  0.0000  0.5000
O  0.5034  0.5000  0.0000
B  0.5084  0.0000  0.0000

Volume   10.41 A^3/atom
Distance to the lowest polymorph of the same formula   0 meV/atom
SG   P4mm

***

NaMg14BO16 | PBE | optimized geometry

Unit cell a=8.4315 b=8.4315 c=4.2988 alpha=90.00 beta=90.00 gamma=90.00
Positions (direct):
O  0.2513  0.2513  0.5000
Mg  0.0000  0.2463  0.5000
O  0.5000  0.2937  0.0000
Mg  0.2497  0.2497  0.0000
O  0.7063  0.5000  0.0000
O  0.0000  0.7309  0.0000
O  0.0000  0.2691  0.0000
Mg  0.0000  0.5000  0.0000
Mg  0.5000  0.0000  0.0000
Mg  0.2582  0.5000  0.5000
Mg  0.2497  0.7503  0.0000
O  0.2937  0.5000  0.0000
O  0.5000  0.0000  0.5000
Mg  0.0000  0.7537  0.5000
Mg  0.7418  0.5000  0.5000
O  0.7309  0.0000  0.0000
Na  0.0000  0.0000  0.0000
O  0.5000  0.5000  0.5000
Mg  0.7537  0.0000  0.5000
Mg  0.5000  0.2582  0.5000
O  0.2691  0.0000  0.0000
O  0.0000  0.0000  0.5000
O  0.7487  0.7487  0.5000
O  0.7487  0.2513  0.5000
B  0.5000  0.5000  0.0000
Mg  0.5000  0.7418  0.5000
Mg  0.7503  0.2497  0.0000
Mg  0.7503  0.7503  0.0000
Mg  0.2463  0.0000  0.5000
O  0.5000  0.7063  0.0000
O  0.2513  0.7487  0.5000
O  0.0000  0.5000  0.5000

Volume   9.55 A^3/atom
Distance to the lowest polymorph of the same formula   49 meV/atom
SG   P4/mmm

***

NaMg6BO7 | PBE | optimized geometry

Unit cell a=7.9860 b=4.4638 c=4.4638 alpha=90.00 beta=90.00 gamma=90.00
Positions (direct):
Mg  0.7445  0.5000  0.0000
Mg  0.2544  0.0000  0.5000
O  0.9990  0.5000  0.0000
O  0.7493  0.5000  0.5000
O  0.6762  0.0000  0.0000
O  0.9990  0.0000  0.5000
Mg  0.7445  0.0000  0.5000
O  0.4995  0.5000  0.0000
Mg  0.0027  0.5000  0.5000
Na  0.0024  0.0000  0.0000
O  0.3267  0.0000  0.0000
Mg  0.4968  0.5000  0.5000
Mg  0.2544  0.5000  0.0000
O  0.4995  0.0000  0.5000
B  0.5010  0.0000  0.0000

Volume   10.61 A^3/atom
Distance to the lowest polymorph of the same formula   13 meV/atom
SG   P4mm

***

NaMg6BO7 | PBE | optimized geometry

Unit cell a=8.5733 b=4.2619 c=4.2619 alpha=90.00 beta=90.00 gamma=90.00
Positions (direct):
B  0.9717  0.5000  0.5000
O  0.9970  0.0000  0.5000
Mg  0.7625  0.0000  0.5000
Mg  0.4884  0.5000  0.5000
Mg  0.5004  0.0000  0.0000
Mg  0.2273  0.5000  0.0000
O  0.5067  0.0000  0.5000
O  0.5067  0.5000  0.0000
O  0.2632  0.0000  0.0000
O  0.9970  0.5000  0.0000
Na  0.9979  0.0000  0.0000
O  0.7359  0.0000  0.0000
O  0.8056  0.5000  0.5000
Mg  0.2273  0.0000  0.5000
Mg  0.7625  0.5000  0.0000

Volume   10.38 A^3/atom
Distance to the lowest polymorph of the same formula   107 meV/atom
SG   P4mm

***

Na3MgB5O10 | PBE | optimized geometry

Unit cell a=7.9047 b=12.3878 c=18.3257 alpha=90.00 beta=90.00 gamma=90.00
Positions (direct):
O  0.4255  0.9286  0.6764
O  0.9899  0.5460  0.7714
B  0.4215  0.3466  0.5734
O  0.0816  0.3764  0.9544
O  0.7199  0.2427  0.1319
O  0.0745  0.0714  0.1764
O  0.7801  0.7573  0.6319
Na  0.1698  0.5846  0.9201
O  0.7784  0.3837  0.9578
Na  0.2086  0.9275  0.0678
O  0.9626  0.8982  0.1447
O  0.4626  0.8982  0.3553
B  0.2682  0.6730  0.4275
O  0.5745  0.0714  0.3236
B  0.5594  0.2175  0.6639
O  0.4184  0.8764  0.9544
Na  0.3302  0.0846  0.9201
O  0.4899  0.5460  0.7286
O  0.9317  0.7685  0.2438
B  0.9215  0.3466  0.9266
Na  0.6905  0.6478  0.2532
O  0.7199  0.2573  0.6319
O  0.0374  0.1018  0.8553
O  0.9184  0.6236  0.0456
O  0.0683  0.2685  0.2562
B  0.2318  0.3270  0.9275
O  0.9255  0.5714  0.3236
B  0.9456  0.8497  0.2960
B  0.7318  0.1730  0.0725
Na  0.7086  0.9275  0.4322
O  0.9255  0.9286  0.8236
B  0.2318  0.1730  0.4275
O  0.3792  0.3515  0.9592
O  0.2801  0.7573  0.8681
Na  0.1905  0.6478  0.2468
O  0.1208  0.6485  0.4592
B  0.9883  0.4756  0.3040
Na  0.7914  0.0725  0.9322
O  0.5745  0.4286  0.8236
Mg  0.4159  0.8218  0.5978
O  0.0766  0.3316  0.1321
B  0.4406  0.7825  0.3361
Mg  0.0841  0.1782  0.0978
B  0.5785  0.6534  0.4266
Mg  0.0841  0.3218  0.5978
O  0.0859  0.7193  0.1349
B  0.7682  0.6730  0.0725
O  0.7216  0.8837  0.9578
O  0.5683  0.2315  0.7438
O  0.9141  0.2193  0.3651
O  0.7216  0.6163  0.4578
Na  0.1905  0.8522  0.7468
B  0.4883  0.0244  0.6960
Na  0.8302  0.4154  0.0799
O  0.7801  0.7427  0.1319
O  0.5374  0.1018  0.6447
Mg  0.5841  0.3218  0.9022
Na  0.1698  0.9154  0.4201
O  0.4184  0.6236  0.4544
O  0.5683  0.2685  0.2438
B  0.9215  0.1534  0.4266
Na  0.3095  0.3522  0.7468
Mg  0.9159  0.6782  0.4022
O  0.2784  0.1163  0.0422
O  0.4141  0.2807  0.6349
Na  0.6698  0.9154  0.0799
B  0.9406  0.7825  0.1639
B  0.0785  0.6534  0.0734
B  0.0117  0.5244  0.6960
Mg  0.9159  0.8218  0.9022
O  0.0101  0.0460  0.7286
O  0.5766  0.1684  0.8679
Na  0.7086  0.5725  0.9322
O  0.9234  0.8316  0.3679
O  0.7784  0.1163  0.4578
O  0.4626  0.6018  0.8553
O  0.9184  0.8764  0.5456
O  0.2199  0.2573  0.8681
O  0.4317  0.7315  0.7562
Na  0.7914  0.4275  0.4322
Na  0.2086  0.5725  0.5678
O  0.0374  0.3982  0.3553
O  0.0816  0.1236  0.4544
B  0.5117  0.9756  0.3040
O  0.0745  0.4286  0.6764
O  0.9626  0.6018  0.6447
O  0.4234  0.6684  0.6321
Na  0.2914  0.4275  0.0678
O  0.2784  0.3837  0.5422
B  0.4883  0.4756  0.1960
B  0.5594  0.2825  0.1639
O  0.3792  0.1485  0.4592
Na  0.8095  0.1478  0.2532
Mg  0.5841  0.1782  0.4022
O  0.0766  0.1684  0.6321
Na  0.2914  0.0725  0.5678
O  0.6208  0.6485  0.0408
O  0.6208  0.8515  0.5408
O  0.2216  0.6163  0.0422
O  0.5816  0.3764  0.5456
B  0.9406  0.7175  0.6639
Na  0.6698  0.5846  0.5799
O  0.5766  0.3316  0.3679
B  0.7682  0.8270  0.5725
B  0.0594  0.2825  0.3361
O  0.5101  0.0460  0.7714
O  0.9899  0.9540  0.2714
B  0.4456  0.8497  0.2040
O  0.0683  0.2315  0.7562
B  0.2682  0.8270  0.9275
Mg  0.4159  0.6782  0.0978
O  0.4234  0.8316  0.1321
O  0.5859  0.7193  0.3651
B  0.7318  0.3270  0.5725
O  0.8792  0.1485  0.0408
O  0.9141  0.2807  0.8651
B  0.5117  0.5244  0.8040
O  0.0101  0.4540  0.2286
B  0.4215  0.1534  0.0734
Na  0.6905  0.8522  0.7532
Na  0.8095  0.3522  0.7532
B  0.5544  0.1503  0.7960
O  0.4255  0.5714  0.1764
O  0.2199  0.2427  0.3681
Na  0.8302  0.0846  0.5799
B  0.5544  0.3497  0.2960
B  0.0544  0.3497  0.2040
B  0.9883  0.0244  0.8040
O  0.2801  0.7427  0.3681
O  0.5101  0.4540  0.2714
B  0.0544  0.1503  0.7040
O  0.9234  0.6684  0.8679
O  0.4317  0.7685  0.2562
B  0.4456  0.6503  0.7040
B  0.0594  0.2175  0.8361
B  0.0785  0.8466  0.5734
B  0.5785  0.8466  0.9266
O  0.2216  0.8837  0.5422
B  0.0117  0.9756  0.1960
B  0.9456  0.6503  0.7960
B  0.4406  0.7175  0.8361
O  0.4899  0.9540  0.2286
O  0.5816  0.1236  0.0456
O  0.9317  0.7315  0.7438
O  0.4141  0.2193  0.1349
O  0.0859  0.7807  0.6349
O  0.1208  0.8515  0.9592
O  0.5859  0.7807  0.8651
O  0.8792  0.3515  0.5408
Na  0.3302  0.4154  0.4201
O  0.5374  0.3982  0.1447
Na  0.3095  0.1478  0.2468

Volume   11.81 A^3/atom
Energy   -134.00 eV per formula unit
SG   Pbca